# SbP4O12, optimized geometry, DFT PBE-GGA
data_SbP4O12
_space_group_name_H-M_alt 'P 1'
_space_group_IT_number 1
_cell_length_a 7.363
_cell_length_b 7.363
_cell_length_c 10.289
_cell_angle_alpha 66.19
_cell_angle_beta 66.19
_cell_angle_gamma 70.92
loop_
_space_group_symop_operation_xyz
'x,y,z'
loop_
_atom_site_label
_atom_site_type_symbol
_atom_site_fract_x
_atom_site_fract_y
_atom_site_fract_z
Sb1 Sb 0.939 0.061 0.750
Sb2 Sb 0.061 0.939 0.250
P1 P 0.257 0.721 0.981
P2 P 0.292 0.308 0.199
P3 P 0.721 0.257 0.481
P4 P 0.308 0.292 0.699
P5 P 0.743 0.279 0.019
P6 P 0.279 0.743 0.519
P7 P 0.692 0.708 0.301
P8 P 0.708 0.692 0.801
O1 O 0.833 0.088 0.413
O2 O 0.192 0.348 0.343
O3 O 0.881 0.726 0.320
O4 O 0.724 0.201 0.910
O5 O 0.492 0.227 0.560
O6 O 0.276 0.799 0.090
O7 O 0.167 0.912 0.587
O8 O 0.773 0.508 0.940
O9 O 0.465 0.705 0.850
O10 O 0.705 0.465 0.350
O11 O 0.348 0.192 0.843
O12 O 0.808 0.652 0.657
O13 O 0.535 0.295 0.150
O14 O 0.726 0.881 0.820
O15 O 0.088 0.833 0.913
O16 O 0.274 0.119 0.180
O17 O 0.295 0.535 0.650
O18 O 0.227 0.492 0.060
O19 O 0.652 0.808 0.157
O20 O 0.119 0.274 0.680
O21 O 0.912 0.167 0.087
O22 O 0.799 0.276 0.590
O23 O 0.508 0.773 0.440
O24 O 0.201 0.724 0.410
# * E above lowest polymorph: 23 meV per atom
# * V: 457.84 Å³ per cell
# * space-group type: C2/c, No. 15
# * E_form: -2.354 eV/atom
# * energy with MP2020 corrections: -250.35 eV/cell

# Ba3PuO6, optimized geometry, DFT PBE-GGA
data_Ba3PuO6
_space_group_name_H-M_alt 'P 1'
_space_group_IT_number 1
_cell_length_a 6.502
_cell_length_b 6.502
_cell_length_c 6.502
_cell_angle_alpha 60.00
_cell_angle_beta 60.00
_cell_angle_gamma 60.00
loop_
_space_group_symop_operation_xyz
'x,y,z'
loop_
_atom_site_label
_atom_site_type_symbol
_atom_site_fract_x
_atom_site_fract_y
_atom_site_fract_z
Ba1 Ba 0.750 0.750 0.750
Ba2 Ba 0.250 0.250 0.250
Ba3 Ba 0.500 0.500 0.500
Pu1 Pu 0.000 0.000 0.000
O1 O 0.775 0.775 0.225
O2 O 0.225 0.225 0.775
O3 O 0.775 0.225 0.775
O4 O 0.225 0.775 0.225
O5 O 0.225 0.775 0.775
O6 O 0.775 0.225 0.225
# * V: 194.40 Å³ per cell
# * space-group type: Fm-3m, No. 225
# * E_form: -3.044 eV/atom
# * energy with MP2020 corrections: -80.15 eV/cell

# Eu2Co4Si3Ge, optimized geometry, DFT PBE-GGA
data_Eu2Co4Si3Ge
_space_group_name_H-M_alt 'P 1'
_space_group_IT_number 1
_cell_length_a 3.928
_cell_length_b 3.928
_cell_length_c 10.234
_cell_angle_alpha 90.00
_cell_angle_beta 90.00
_cell_angle_gamma 90.00
loop_
_space_group_symop_operation_xyz
'x,y,z'
loop_
_atom_site_label
_atom_site_type_symbol
_atom_site_fract_x
_atom_site_fract_y
_atom_site_fract_z
Eu1 Eu 0.000 0.000 0.997
Eu2 Eu 0.500 0.500 0.501
Co1 Co 0.000 0.500 0.256
Co2 Co 0.500 0.000 0.749
Co3 Co 0.500 0.000 0.256
Co4 Co 0.000 0.500 0.749
Si1 Si 0.000 0.000 0.636
Si2 Si 0.000 0.000 0.366
Si3 Si 0.500 0.500 0.859
Ge1 Ge 0.500 0.500 0.130
# * V: 157.89 Å³ per cell
# * space-group type: P4mm, No. 99
# * E_form: -0.610 eV/atom

# SiBHC3NCl2, optimized geometry, DFT PBE-GGA
data_SiBHC3NCl2
_space_group_name_H-M_alt 'P 1'
_space_group_IT_number 1
_cell_length_a 10.237
_cell_length_b 8.459
_cell_length_c 8.928
_cell_angle_alpha 82.33
_cell_angle_beta 90.00
_cell_angle_gamma 90.00
loop_
_space_group_symop_operation_xyz
'x,y,z'
loop_
_atom_site_label
_atom_site_type_symbol
_atom_site_fract_x
_atom_site_fract_y
_atom_site_fract_z
Si1 Si 0.947 0.348 0.754
Si2 Si 0.447 0.152 0.246
Si3 Si 0.053 0.652 0.246
Si4 Si 0.553 0.848 0.754
B1 B 0.930 0.414 0.057
B2 B 0.430 0.086 0.943
B3 B 0.070 0.586 0.943
B4 B 0.570 0.914 0.057
H1 H 0.106 0.328 0.950
H2 H 0.606 0.172 0.050
H3 H 0.894 0.672 0.050
H4 H 0.394 0.828 0.950
C1 C 0.003 0.441 0.557
C2 C 0.503 0.059 0.443
C3 C 0.997 0.559 0.443
C4 C 0.497 0.941 0.557
C5 C 0.054 0.284 0.589
C6 C 0.554 0.216 0.411
C7 C 0.946 0.716 0.411
C8 C 0.446 0.784 0.589
C9 C 0.036 0.168 0.696
C10 C 0.536 0.332 0.304
C11 C 0.964 0.832 0.304
C12 C 0.464 0.668 0.696
N1 N 0.031 0.408 0.921
N2 N 0.531 0.092 0.079
N3 N 0.969 0.592 0.079
N4 N 0.469 0.908 0.921
Cl1 Cl 0.955 0.262 0.215
Cl2 Cl 0.455 0.238 0.785
Cl3 Cl 0.045 0.738 0.785
Cl4 Cl 0.545 0.762 0.215
Cl5 Cl 0.761 0.415 0.976
Cl6 Cl 0.261 0.085 0.024
Cl7 Cl 0.239 0.585 0.024
Cl8 Cl 0.739 0.915 0.976
# * V: 766.21 Å³ per cell
# * space-group type: P2_1/c, No. 14
# * E_form: 0.082 eV/atom
# * energy with MP2020 corrections: -217.91 eV/cell

# AgH8C5S2O2F3, optimized geometry, DFT PBE-GGA
data_AgH8C5S2O2F3
_space_group_name_H-M_alt 'P 1'
_space_group_IT_number 1
_cell_length_a 9.085
_cell_length_b 10.744
_cell_length_c 11.045
_cell_angle_alpha 90.00
_cell_angle_beta 90.00
_cell_angle_gamma 90.00
loop_
_space_group_symop_operation_xyz
'x,y,z'
loop_
_atom_site_label
_atom_site_type_symbol
_atom_site_fract_x
_atom_site_fract_y
_atom_site_fract_z
Ag1 Ag 0.663 0.726 0.971
Ag2 Ag 0.163 0.774 0.971
Ag3 Ag 0.663 0.226 0.029
Ag4 Ag 0.163 0.274 0.029
H1 H 0.764 0.476 0.653
H2 H 0.504 0.703 0.283
H3 H 0.973 0.001 0.143
H4 H 0.144 0.894 0.679
H5 H 0.004 0.297 0.717
H6 H 0.309 0.234 0.721
H7 H 0.838 0.621 0.706
H8 H 0.436 0.854 0.239
H9 H 0.973 0.501 0.857
H10 H 0.264 0.524 0.347
H11 H 0.338 0.379 0.294
H12 H 0.809 0.766 0.279
H13 H 0.004 0.797 0.283
H14 H 0.144 0.394 0.321
H15 H 0.838 0.121 0.294
H16 H 0.402 0.012 0.008
H17 H 0.264 0.024 0.653
H18 H 0.644 0.106 0.321
H19 H 0.338 0.879 0.706
H20 H 0.644 0.606 0.679
H21 H 0.809 0.266 0.721
H22 H 0.504 0.203 0.717
H23 H 0.936 0.646 0.239
H24 H 0.473 0.999 0.857
H25 H 0.902 0.488 0.008
H26 H 0.902 0.988 0.992
H27 H 0.764 0.976 0.347
H28 H 0.309 0.734 0.279
H29 H 0.936 0.146 0.761
H30 H 0.402 0.512 0.992
H31 H 0.473 0.499 0.143
H32 H 0.436 0.354 0.761
C1 C 0.760 0.896 0.755
C2 C 0.387 0.540 0.086
C3 C 0.415 0.754 0.236
C4 C 0.244 0.442 0.291
C5 C 0.244 0.942 0.709
C6 C 0.387 0.040 0.914
C7 C 0.760 0.396 0.245
C8 C 0.915 0.246 0.764
C9 C 0.887 0.960 0.086
C10 C 0.415 0.254 0.764
C11 C 0.887 0.460 0.914
C12 C 0.744 0.058 0.291
C13 C 0.744 0.439 0.380
C14 C 0.244 0.061 0.380
C15 C 0.244 0.561 0.620
C16 C 0.915 0.746 0.236
C17 C 0.260 0.104 0.245
C18 C 0.744 0.939 0.620
C19 C 0.744 0.558 0.709
C20 C 0.260 0.604 0.755
S1 S 0.208 0.988 0.864
S2 S 0.910 0.291 0.922
S3 S 0.410 0.209 0.922
S4 S 0.708 0.012 0.136
S5 S 0.208 0.488 0.136
S6 S 0.910 0.791 0.078
S7 S 0.708 0.512 0.864
S8 S 0.410 0.709 0.078
O1 O 0.885 0.403 0.200
O2 O 0.140 0.642 0.800
O3 O 0.140 0.142 0.200
O4 O 0.885 0.903 0.800
O5 O 0.385 0.597 0.800
O6 O 0.385 0.097 0.200
O7 O 0.640 0.358 0.200
O8 O 0.640 0.858 0.800
F1 F 0.150 0.460 0.611
F2 F 0.187 0.652 0.548
F3 F 0.874 0.475 0.431
F4 F 0.187 0.152 0.452
F5 F 0.687 0.348 0.452
F6 F 0.374 0.525 0.569
F7 F 0.150 0.960 0.389
F8 F 0.650 0.040 0.611
F9 F 0.374 0.025 0.431
F10 F 0.874 0.975 0.569
F11 F 0.687 0.848 0.548
F12 F 0.650 0.540 0.389
# * V: 1078.13 Å³ per cell
# * space-group type: Pca2_1, No. 29
# * E_form: -0.728 eV/atom
# * energy with MP2020 corrections: -461.30 eV/cell

# Hf4Ga5Ni3, optimized geometry, DFT PBE-GGA
data_Hf4Ga5Ni3
_space_group_name_H-M_alt 'P 1'
_space_group_IT_number 1
_cell_length_a 6.372
_cell_length_b 7.653
_cell_length_c 13.668
_cell_angle_alpha 104.85
_cell_angle_beta 76.80
_cell_angle_gamma 114.82
loop_
_space_group_symop_operation_xyz
'x,y,z'
loop_
_atom_site_label
_atom_site_type_symbol
_atom_site_fract_x
_atom_site_fract_y
_atom_site_fract_z
Hf1 Hf 0.457 0.958 0.488
Hf2 Hf 0.970 0.470 0.983
Hf3 Hf 0.497 0.545 0.010
Hf4 Hf 0.987 0.042 0.513
Hf5 Hf 0.229 0.311 0.268
Hf6 Hf 0.725 0.810 0.775
Hf7 Hf 0.679 0.183 0.228
Hf8 Hf 0.192 0.694 0.735
Hf9 Hf 0.691 0.624 0.374
Hf10 Hf 0.195 0.127 0.877
Hf11 Hf 0.943 0.879 0.125
Hf12 Hf 0.441 0.375 0.628
Ga1 Ga 0.154 0.651 0.370
Ga2 Ga 0.646 0.141 0.873
Ga3 Ga 0.366 0.841 0.121
Ga4 Ga 0.878 0.350 0.632
Ga5 Ga 0.673 0.506 0.168
Ga6 Ga 0.170 0.008 0.673
Ga7 Ga 0.834 0.990 0.329
Ga8 Ga 0.340 0.500 0.832
Ga9 Ga 0.410 0.251 0.416
Ga10 Ga 0.924 0.758 0.917
Ga11 Ga 0.072 0.254 0.084
Ga12 Ga 0.573 0.747 0.585
Ga13 Ga 0.441 0.164 0.058
Ga14 Ga 0.952 0.678 0.564
Ga15 Ga 0.840 0.322 0.436
Ni1 Ni 0.330 0.824 0.936
Ni2 Ni 0.203 0.941 0.303
Ni3 Ni 0.704 0.438 0.808
Ni4 Ni 0.063 0.559 0.195
Ni5 Ni 0.566 0.062 0.692
Ni6 Ni 0.500 0.750 0.248
Ni7 Ni 0.001 0.252 0.754
Ni8 Ni 0.740 0.998 0.001
Ni9 Ni 0.237 0.500 0.500
# * V: 579.21 Å³ per cell
# * space-group type: P1, No. 1
# * E_form: -0.516 eV/atom

# NbBO4, optimized geometry, DFT PBE-GGA
data_NbBO4
_space_group_name_H-M_alt 'P 1'
_space_group_IT_number 1
_cell_length_a 5.260
_cell_length_b 5.260
_cell_length_c 5.260
_cell_angle_alpha 106.05
_cell_angle_beta 106.05
_cell_angle_gamma 116.54
loop_
_space_group_symop_operation_xyz
'x,y,z'
loop_
_atom_site_label
_atom_site_type_symbol
_atom_site_fract_x
_atom_site_fract_y
_atom_site_fract_z
Nb1 Nb 0.000 0.000 0.000
Nb2 Nb 0.250 0.750 0.500
B1 B 0.500 0.500 0.000
B2 B 0.750 0.250 0.500
O1 O 0.325 0.148 0.823
O2 O 0.752 0.075 0.677
O3 O 0.498 0.675 0.823
O4 O 0.925 0.602 0.677
O5 O 0.925 0.248 0.323
O6 O 0.852 0.675 0.177
O7 O 0.325 0.502 0.177
O8 O 0.398 0.075 0.323
# * V: 110.77 Å³ per cell
# * space-group type: I4_1/amd, No. 141
# * E_form: -2.955 eV/atom
# * energy with MP2020 corrections: -108.60 eV/cell

# H3S, optimized geometry, DFT PBE-GGA
data_H3S
_space_group_name_H-M_alt 'P 1'
_space_group_IT_number 1
_cell_length_a 6.709
_cell_length_b 8.133
_cell_length_c 8.254
_cell_angle_alpha 89.85
_cell_angle_beta 89.62
_cell_angle_gamma 89.39
loop_
_space_group_symop_operation_xyz
'x,y,z'
loop_
_atom_site_label
_atom_site_type_symbol
_atom_site_fract_x
_atom_site_fract_y
_atom_site_fract_z
H1 H 0.719 0.044 0.408
H2 H 0.074 0.631 0.258
H3 H 0.563 0.622 0.941
H4 H 0.568 0.473 0.254
H5 H 0.240 0.341 0.105
H6 H 0.244 0.758 0.110
H7 H 0.079 0.469 0.950
H8 H 0.225 0.043 0.817
H9 H 0.904 0.903 0.532
H10 H 0.232 0.045 0.402
H11 H 0.394 0.202 0.525
H12 H 0.897 0.214 0.673
H13 H 0.708 0.767 0.793
H14 H 0.385 0.893 0.680
H15 H 0.728 0.321 0.118
H16 H 0.744 0.383 0.789
H17 H 0.964 0.007 0.138
H18 H 0.462 0.065 0.137
H19 H 0.522 0.010 0.081
H20 H 0.994 0.077 0.082
H21 H 0.974 0.519 0.569
H22 H 0.019 0.586 0.620
H23 H 0.428 0.530 0.630
H24 H 0.499 0.576 0.576
S1 S 0.251 0.710 0.267
S2 S 0.743 0.388 0.267
S3 S 0.744 0.695 0.938
S4 S 0.242 0.369 0.943
S5 S 0.221 0.881 0.776
S6 S 0.731 0.883 0.450
S7 S 0.722 0.221 0.756
S8 S 0.225 0.208 0.436
# * V: 450.27 Å³ per cell
# * space-group type: P1, No. 1
# * E_form: -0.220 eV/atom
# * energy with MP2020 corrections: -121.57 eV/cell

# Zr5Ge3, optimized geometry, DFT PBE-GGA
data_Zr5Ge3
_space_group_name_H-M_alt 'P 1'
_space_group_IT_number 1
_cell_length_a 8.107
_cell_length_b 8.107
_cell_length_c 5.649
_cell_angle_alpha 90.00
_cell_angle_beta 90.00
_cell_angle_gamma 120.00
loop_
_space_group_symop_operation_xyz
'x,y,z'
loop_
_atom_site_label
_atom_site_type_symbol
_atom_site_fract_x
_atom_site_fract_y
_atom_site_fract_z
Zr1 Zr 0.000 0.746 0.750
Zr2 Zr 0.000 0.254 0.250
Zr3 Zr 0.746 0.746 0.250
Zr4 Zr 0.746 0.000 0.750
Zr5 Zr 0.254 0.254 0.750
Zr6 Zr 0.254 0.000 0.250
Zr7 Zr 0.333 0.667 0.500
Zr8 Zr 0.667 0.333 0.000
Zr9 Zr 0.667 0.333 0.500
Zr10 Zr 0.333 0.667 0.000
Ge1 Ge 0.389 0.000 0.750
Ge2 Ge 0.389 0.389 0.250
Ge3 Ge 0.000 0.611 0.250
Ge4 Ge 0.000 0.389 0.750
Ge5 Ge 0.611 0.611 0.750
Ge6 Ge 0.611 0.000 0.250
# * V: 321.54 Å³ per cell
# * space-group type: P6_3/mcm, No. 193
# * E_form: -0.802 eV/atom

# LiCuPO4, optimized geometry, DFT PBE-GGA
data_LiCuPO4
_space_group_name_H-M_alt 'P 1'
_space_group_IT_number 1
_cell_length_a 4.879
_cell_length_b 4.879
_cell_length_c 16.385
_cell_angle_alpha 89.80
_cell_angle_beta 89.80
_cell_angle_gamma 91.63
loop_
_space_group_symop_operation_xyz
'x,y,z'
loop_
_atom_site_label
_atom_site_type_symbol
_atom_site_fract_x
_atom_site_fract_y
_atom_site_fract_z
Li1 Li 0.389 0.837 0.937
Li2 Li 0.163 0.611 0.563
Li3 Li 0.837 0.389 0.437
Li4 Li 0.611 0.163 0.063
Cu1 Cu 0.665 0.834 0.750
Cu2 Cu 0.834 0.665 0.250
Cu3 Cu 0.166 0.335 0.750
Cu4 Cu 0.335 0.166 0.250
P1 P 0.689 0.354 0.636
P2 P 0.646 0.311 0.864
P3 P 0.354 0.689 0.136
P4 P 0.311 0.646 0.364
O1 O 0.866 0.534 0.700
O2 O 0.534 0.866 0.200
O3 O 0.951 0.255 0.847
O4 O 0.568 0.617 0.850
O5 O 0.785 0.436 0.551
O6 O 0.255 0.951 0.347
O7 O 0.617 0.568 0.350
O8 O 0.436 0.785 0.051
O9 O 0.564 0.215 0.949
O10 O 0.383 0.432 0.650
O11 O 0.745 0.049 0.653
O12 O 0.215 0.564 0.449
O13 O 0.432 0.383 0.150
O14 O 0.049 0.745 0.153
O15 O 0.466 0.134 0.800
O16 O 0.134 0.466 0.300
# * E above lowest polymorph: 16 meV per atom
# * V: 389.81 Å³ per cell
# * space-group type: C2/c, No. 15
# * E_form: -2.181 eV/atom
# * energy with MP2020 corrections: -185.92 eV/cell

# LiNi2Sn, optimized geometry, DFT PBE-GGA
data_LiNi2Sn
_space_group_name_H-M_alt 'P 1'
_space_group_IT_number 1
_cell_length_a 4.238
_cell_length_b 4.238
_cell_length_c 4.238
_cell_angle_alpha 60.00
_cell_angle_beta 60.00
_cell_angle_gamma 60.00
loop_
_space_group_symop_operation_xyz
'x,y,z'
loop_
_atom_site_label
_atom_site_type_symbol
_atom_site_fract_x
_atom_site_fract_y
_atom_site_fract_z
Li1 Li 0.500 0.500 0.500
Ni1 Ni 0.750 0.750 0.750
Ni2 Ni 0.250 0.250 0.250
Sn1 Sn 0.000 0.000 0.000
# * V: 53.81 Å³ per cell
# * space-group type: Fm-3m, No. 225
# * E_form: -0.274 eV/atom

# LaTiAlPbO6, optimized geometry, DFT PBE-GGA
data_LaTiAlPbO6
_space_group_name_H-M_alt 'P 1'
_space_group_IT_number 1
_cell_length_a 3.906
_cell_length_b 5.496
_cell_length_c 22.057
_cell_angle_alpha 90.00
_cell_angle_beta 90.00
_cell_angle_gamma 90.00
loop_
_space_group_symop_operation_xyz
'x,y,z'
loop_
_atom_site_label
_atom_site_type_symbol
_atom_site_fract_x
_atom_site_fract_y
_atom_site_fract_z
La1 La 0.000 0.750 0.318
La2 La 0.000 0.750 0.562
La3 La 0.000 0.250 0.682
La4 La 0.000 0.250 0.438
Ti1 Ti 0.500 0.750 0.935
Ti2 Ti 0.500 0.750 0.193
Ti3 Ti 0.500 0.250 0.065
Ti4 Ti 0.500 0.250 0.807
Al1 Al 0.500 0.750 0.439
Al2 Al 0.500 0.250 0.317
Al3 Al 0.500 0.250 0.561
Al4 Al 0.500 0.750 0.683
Pb1 Pb 0.000 0.750 0.807
Pb2 Pb 0.000 0.250 0.938
Pb3 Pb 0.000 0.750 0.062
Pb4 Pb 0.000 0.250 0.193
O1 O 0.000 0.750 0.938
O2 O 0.000 0.250 0.062
O3 O 0.000 0.750 0.438
O4 O 0.000 0.750 0.680
O5 O 0.500 0.001 0.872
O6 O 0.500 0.499 0.872
O7 O 0.500 0.500 0.000
O8 O 0.500 0.000 0.000
O9 O 0.500 0.999 0.128
O10 O 0.500 0.501 0.128
O11 O 0.500 0.504 0.257
O12 O 0.500 0.996 0.257
O13 O 0.500 0.999 0.378
O14 O 0.500 0.501 0.378
O15 O 0.500 0.000 0.500
O16 O 0.500 0.500 0.500
O17 O 0.500 0.001 0.622
O18 O 0.500 0.499 0.622
O19 O 0.500 0.496 0.743
O20 O 0.500 0.004 0.743
O21 O 0.000 0.250 0.804
O22 O 0.000 0.750 0.196
O23 O 0.000 0.250 0.320
O24 O 0.000 0.250 0.562
# * E above lowest polymorph: 0 meV per atom
# * V: 473.53 Å³ per cell
# * space-group type: Pmma, No. 51
# * E_form: -3.192 eV/atom
# * energy with MP2020 corrections: -327.57 eV/cell